Entry 1:
Ca2SiO5: optimized geometry, PBE-GGA.

Geometry as POSCAR:
```
Ca2SiO5
1.0
3.5026 0.0000 0.0000
-1.7318 8.5285 0.0000
-0.0153 -0.5990 11.3295
Ca Si O
6 3 15
Direct
0.0000 0.0000 0.0000 Ca
0.0997 0.1967 0.5127 Ca
0.3356 0.6677 0.1031 Ca
0.4643 0.9113 0.7430 Ca
0.6467 0.2854 0.2564 Ca
0.7770 0.5402 0.6221 Ca
0.2006 0.2810 0.8066 Si
0.4286 0.8487 0.4788 Si
0.9619 0.9171 0.2955 Si
0.0528 0.0924 0.8042 O
0.0579 0.1092 0.3077 O
0.1925 0.3726 0.6866 O
0.2426 0.4765 0.2441 O
0.3602 0.7086 0.5734 O
0.4154 0.8242 0.9346 O
0.4415 0.8758 0.3238 O
0.5125 0.0188 0.5551 O
0.5726 0.1480 0.0725 O
0.6548 0.3268 0.8639 O
0.6777 0.3530 0.4644 O
0.7433 0.4824 0.1162 O
0.8802 0.7430 0.8003 O
0.9207 0.8370 0.1602 O
0.9225 0.8365 0.4378 O
```

## Properties
Offset from the most stable computed form: 1.140 eV per formula unit
Calculated formation energy: -2691 meV per atom
MP2020-corrected energy: -6.9626 eV/atom
Mass density: 2.77 g cm⁻³

Entry 2:
CaSiO4: optimized geometry, PBE-GGA.

Geometry as POSCAR:
```
CaSiO4
1.0
0.0000 10.3068 2.8682
5.8447 0.0000 2.8682
5.8447 10.3068 0.0000
Ca Si O
4 4 16
Direct
0.0966 0.9034 0.2584 Ca
0.5084 0.9916 0.3466 Ca
0.9034 0.0966 0.7416 Ca
0.9916 0.5084 0.1534 Ca
0.4609 0.5153 0.6637 Si
0.5153 0.4609 0.3601 Si
0.5863 0.8899 0.7891 Si
0.8899 0.5863 0.7347 Si
0.0708 0.7645 0.6602 O
0.0759 0.5860 0.4897 O
0.1894 0.1894 0.3106 O
0.2011 0.2486 0.9732 O
0.2486 0.2011 0.5770 O
0.2768 0.6730 0.0489 O
0.4016 0.7603 0.6640 O
0.4984 0.4984 0.5016 O
0.5860 0.0759 0.8484 O
0.5898 0.7454 0.1792 O
0.6730 0.2768 0.0014 O
0.7454 0.5898 0.4855 O
0.7484 0.7484 0.7516 O
0.7603 0.4016 0.1741 O
0.7645 0.0708 0.5046 O
0.9394 0.9394 0.0606 O
```

## Properties
Calculated formation energy: -2528 meV per atom
MP2020-corrected energy: -7.0650 eV/atom
Mass density: 2.54 g cm⁻³